(1)
Sc11Nb3O24 | PBE | optimized geometry

Computed properties:
- Formation energy from the elements: -3.715 eV per atom

POSCAR file:
```
Sc11Nb3O24
1.0
7.945 0.000 0.000
2.461 7.578 0.000
2.472 1.831 7.367
O Sc Nb
24 11 3
direct
0.727 0.364 0.586 O
0.412 0.168 0.006 O
0.365 0.587 0.730 O
0.599 0.822 0.997 O
0.590 0.726 0.362 O
0.913 0.670 0.509 O
0.135 0.912 0.773 O
0.911 0.765 0.124 O
0.416 0.273 0.628 O
0.981 0.593 0.842 O
0.868 0.081 0.228 O
0.171 0.005 0.413 O
0.229 0.865 0.086 O
0.675 0.511 0.915 O
0.329 0.490 0.087 O
0.088 0.329 0.490 O
0.493 0.087 0.330 O
0.771 0.135 0.913 O
0.001 0.415 0.170 O
0.645 0.425 0.258 O
0.508 0.912 0.676 O
0.085 0.232 0.866 O
0.830 0.992 0.588 O
0.273 0.633 0.414 O
0.394 0.927 0.219 Sc
0.218 0.393 0.932 Sc
0.713 0.896 0.432 Sc
0.286 0.103 0.572 Sc
0.929 0.210 0.399 Sc
0.106 0.573 0.286 Sc
0.895 0.426 0.708 Sc
0.572 0.280 0.104 Sc
0.419 0.719 0.898 Sc
0.070 0.790 0.603 Sc
0.606 0.079 0.779 Sc
0.494 0.504 0.508 Nb
0.784 0.602 0.073 Nb
0.001 0.007 0.997 Nb
```

(2)
Sr2ScNbO6 | PBE | optimized geometry

Computed properties:
- Formation energy from the elements: -3.501 eV per atom
- Size of the total moment: 0.00 μB per cell

POSCAR file:
```
Sr2ScNbO6
1.0
-1.055 5.002 2.664
0.273 -2.662 5.108
8.266 -1.170 5.470
O Sr Sc Nb
12 4 2 2
direct
0.270 0.249 0.531 O
0.991 0.316 0.744 O
0.509 0.316 0.244 O
0.280 0.799 0.969 O
0.770 0.751 0.969 O
0.730 0.751 0.469 O
0.720 0.201 0.031 O
0.230 0.249 0.031 O
0.009 0.684 0.256 O
0.220 0.799 0.469 O
0.491 0.684 0.756 O
0.780 0.201 0.531 O
0.516 0.247 0.750 Sr
0.984 0.247 0.250 Sr
0.484 0.753 0.250 Sr
0.016 0.753 0.750 Sr
0.000 0.000 0.000 Sc
0.500 0.000 0.500 Sc
0.000 0.500 0.500 Nb
0.500 0.500 0.000 Nb
```

Going through the records in order, we get theoretical density values of 4.3; 5.0 Mg/m³.